[1]
The following is a PBE calculation of HoC3S3O18F9 after structural relaxation, from the Materials Project database.

POSCAR file:
```
HoC3S3O18F9
1.0
7.0061 -12.1348 0.0000
7.0061 12.1348 0.0000
0.0000 0.0000 7.6013
O F C S Ho
36 18 6 6 2
Direct
0.4489 0.7863 0.0393
0.0179 0.4030 0.9108
0.4321 0.2510 0.2500
0.8189 0.5679 0.2500
0.2137 0.6626 0.4607
0.7490 0.1811 0.2500
0.2137 0.6626 0.0393
0.3851 0.9821 0.5892
0.3509 0.8393 0.2500
0.4489 0.7863 0.4607
0.6626 0.4489 0.9607
0.0179 0.4030 0.5892
0.5511 0.2137 0.9607
0.7863 0.3374 0.9607
0.6626 0.4489 0.5393
0.3851 0.9821 0.9108
0.4884 0.6491 0.2500
0.8393 0.4884 0.7500
0.6491 0.1607 0.7500
0.4030 0.3851 0.0892
0.7863 0.3374 0.5393
0.4030 0.3851 0.4108
0.6149 0.0179 0.4108
0.9821 0.5970 0.4108
0.2510 0.8189 0.7500
0.5970 0.6149 0.5892
0.3374 0.5511 0.4607
0.5679 0.7490 0.7500
0.5970 0.6149 0.9108
0.3374 0.5511 0.0393
0.6149 0.0179 0.0892
0.1811 0.4321 0.7500
0.9821 0.5970 0.0892
0.5511 0.2137 0.5393
0.1607 0.5116 0.2500
0.5116 0.3509 0.7500
0.1754 0.2800 0.2500
0.7200 0.8954 0.2500
0.8422 0.0425 0.3946
0.7997 0.8422 0.6054
0.2003 0.1578 0.3946
0.1046 0.8246 0.2500
0.7997 0.8422 0.8946
0.8954 0.1754 0.7500
0.2003 0.1578 0.1054
0.9575 0.7997 0.1054
0.9575 0.7997 0.3946
0.1578 0.9575 0.8946
0.0425 0.2003 0.6054
0.1578 0.9575 0.6054
0.8246 0.7200 0.7500
0.0425 0.2003 0.8946
0.8422 0.0425 0.1054
0.2800 0.1046 0.7500
0.2221 0.9934 0.7500
0.9934 0.7713 0.2500
0.0066 0.2287 0.7500
0.7779 0.0066 0.2500
0.2287 0.2221 0.2500
0.7713 0.7779 0.7500
0.6192 0.6801 0.7500
0.3808 0.3199 0.2500
0.9391 0.6192 0.2500
0.6801 0.0609 0.2500
0.0609 0.3808 0.7500
0.3199 0.9391 0.7500
0.3333 0.6667 0.2500
0.6667 0.3333 0.7500
```

electronic total energy = -334.728 eV per cell
space-group type = No. 176
crystal system = hexagonal

---

[2]
The following is a PBE calculation of Sn3S7 after structural relaxation, from the Materials Project database.

POSCAR file:
```
Sn3S7
1.0
6.6654 11.5614 0.0000
-6.6654 11.5614 0.0000
0.0000 5.0863 15.4730
S Sn
28 12
Direct
0.4044 0.3907 0.1761
0.6907 0.3805 0.1370
0.9291 0.5817 0.3218
0.8381 0.7112 0.6354
0.9149 0.2741 0.3225
0.5203 0.8547 0.6549
0.0709 0.4183 0.6782
0.8547 0.5203 0.1549
0.3527 0.1708 0.6379
0.6473 0.8292 0.3621
0.7259 0.0851 0.1775
0.3805 0.6907 0.6370
0.0851 0.7259 0.6775
0.4797 0.1453 0.3451
0.8292 0.6473 0.8621
0.1708 0.3527 0.1379
0.1619 0.2888 0.3646
0.2741 0.9149 0.8225
0.1453 0.4797 0.8451
0.5817 0.9291 0.8218
0.7112 0.8381 0.1354
0.4183 0.0709 0.1782
0.5956 0.6093 0.8239
0.3907 0.4044 0.6761
0.6093 0.5956 0.3239
0.2888 0.1619 0.8646
0.6195 0.3093 0.3630
0.3093 0.6195 0.8630
0.4140 0.7346 0.7612
0.7346 0.4140 0.2612
0.5993 0.9892 0.2385
0.2654 0.5860 0.7388
0.4007 0.0108 0.7615
0.7472 0.6779 0.2592
0.5860 0.2654 0.2388
0.6779 0.7472 0.7592
0.3221 0.2528 0.2408
0.0108 0.4007 0.2615
0.2528 0.3221 0.7408
0.9892 0.5993 0.7385
```

electronic total energy = -164.594 eV per cell
space-group type = No. 15
crystal system = monoclinic

---

[3]
The following is a PBE calculation of NaTbSe2 after structural relaxation, from the Materials Project database.

POSCAR file:
```
NaTbSe2
1.0
0.6127 2.0854 -3.5597
0.6127 -2.0854 -3.5597
-6.4854 0.0000 -3.5597
Tb Se Na
1 2 1
Direct
0.5000 0.5000 0.5000
0.2432 0.2432 0.2704
0.7568 0.7568 0.7296
0.0000 0.0000 0.0000
```

electronic total energy = -19.753 eV per cell
space-group type = No. 166
crystal system = trigonal

---

[4]
The following is a PBE calculation of Gd3SbO7 after structural relaxation, from the Materials Project database.

POSCAR file:
```
Gd3SbO7
1.0
-5.4700 3.3124 1.4686
0.0007 -1.4867 -6.3906
-3.5559 -6.5471 1.5227
O Gd Sb
14 6 2
Direct
0.9239 0.6786 0.5275
0.6371 0.3629 0.7500
0.9330 0.0670 0.7500
0.6786 0.9239 0.4725
0.9366 0.6849 0.9680
0.3629 0.6371 0.2500
0.3151 0.0634 0.5320
0.0761 0.3214 0.0275
0.0670 0.9330 0.2500
0.6290 0.3710 0.2500
0.3710 0.6290 0.7500
0.3214 0.0761 0.9725
0.0634 0.3151 0.4680
0.6849 0.9366 0.0320
0.4688 0.0003 0.2520
0.5312 0.9997 0.7520
0.5115 0.5115 0.5000
0.0003 0.4688 0.7480
0.9997 0.5312 0.2480
0.4885 0.4885 0.0000
0.9993 0.9993 0.5000
0.0007 0.0007 0.0000
```

electronic total energy = -226.345 eV per cell
space-group type = No. 20
crystal system = orthorhombic

---

[5]
The following is a PBE calculation of Tl3Cl after structural relaxation, from the Materials Project database.

POSCAR file:
```
Tl3Cl
1.0
5.0137 0.0000 0.0000
0.0000 5.0137 0.0000
0.0000 0.0000 5.0137
Cl Tl
1 3
Direct
0.0000 0.0000 0.0000
0.5000 0.0000 0.5000
0.5000 0.5000 0.0000
0.0000 0.5000 0.5000
```

electronic total energy = -10.200 eV per cell
space-group type = No. 221
crystal system = cubic

---

[6]
The following is a PBE calculation of HfTaTc2 after structural relaxation, from the Materials Project database.

POSCAR file:
```
HfTaTc2
1.0
-0.3453 -4.3617 1.2859
-1.6226 -1.0368 4.1339
-4.1080 -1.9358 0.4175
Hf Tc Ta
1 2 1
Direct
0.0000 0.0000 0.0000
0.2500 0.2500 0.2500
0.7500 0.7500 0.7500
0.5000 0.5000 0.5000
```

electronic total energy = -44.603 eV per cell
space-group type = No. 225
crystal system = cubic

---

[7]
The following is a PBE calculation of Na2ZnP2O7 after structural relaxation, from the Materials Project database.

POSCAR file:
```
Na2ZnP2O7
1.0
7.8338 0.0000 0.0000
0.0000 7.8338 0.0000
0.0000 0.0000 10.4204
P O Zn Na
8 28 4 8
Direct
0.3619 0.6381 0.2113
0.8619 0.8619 0.7113
0.1381 0.1381 0.2887
0.1381 0.1381 0.7113
0.3619 0.6381 0.7887
0.8619 0.8619 0.2887
0.6381 0.3619 0.2113
0.6381 0.3619 0.7887
0.8060 0.4195 0.8532
0.5000 0.5000 0.1546
0.3060 0.0805 0.6468
0.1365 0.1365 0.8565
0.9195 0.6940 0.3532
0.3060 0.0805 0.3532
0.8635 0.8635 0.1435
0.5000 0.5000 0.8454
0.0000 0.0000 0.6546
0.3635 0.6365 0.3565
0.4195 0.8060 0.8532
0.3635 0.6365 0.6435
0.9195 0.6940 0.6468
0.6365 0.3635 0.3565
0.1365 0.1365 0.1435
0.6365 0.3635 0.6435
0.0805 0.3060 0.3532
0.0805 0.3060 0.6468
0.6940 0.9195 0.6468
0.5805 0.1940 0.8532
0.1940 0.5805 0.8532
0.1940 0.5805 0.1468
0.4195 0.8060 0.1468
0.6940 0.9195 0.3532
0.0000 0.0000 0.3454
0.8060 0.4195 0.1468
0.8635 0.8635 0.8565
0.5805 0.1940 0.1468
0.5000 0.0000 0.7500
0.5000 0.0000 0.2500
0.0000 0.5000 0.7500
0.0000 0.5000 0.2500
0.3061 0.3061 0.0000
0.1459 0.8541 0.0000
0.8061 0.1939 0.5000
0.3541 0.3541 0.5000
0.8541 0.1459 0.0000
0.1939 0.8061 0.5000
0.6459 0.6459 0.5000
0.6939 0.6939 0.0000
```

electronic total energy = -300.633 eV per cell
space-group type = No. 136
crystal system = tetragonal

---

[8]
The following is a PBE calculation of Hf5CoP3 after structural relaxation, from the Materials Project database.

POSCAR file:
```
Hf5CoP3
1.0
-2.9661 1.9830 -0.4194
-3.7687 -3.8042 8.6659
7.2336 12.6605 8.7037
P Hf Co
12 20 4
Direct
0.2500 0.3148 0.7181
0.2500 0.5053 0.1161
0.7500 0.0053 0.3839
0.2500 0.6890 0.5093
0.2500 0.1852 0.2181
0.7500 0.8148 0.7819
0.7500 0.6852 0.2819
0.2500 0.8110 0.0093
0.7500 0.1890 0.9907
0.2500 0.9947 0.6161
0.7500 0.4947 0.8839
0.7500 0.3110 0.4907
0.7500 0.1850 0.6319
0.7500 0.5118 0.7274
0.7500 0.9882 0.2274
0.7500 0.9385 0.9241
0.2500 0.3781 0.9763
0.2500 0.0615 0.0759
0.2500 0.8150 0.3681
0.2500 0.4882 0.2726
0.7500 0.6219 0.0237
0.2500 0.0118 0.7726
0.2500 0.6850 0.8681
0.7500 0.2536 0.3323
0.2500 0.1219 0.4763
0.7500 0.8781 0.5237
0.2500 0.4385 0.5759
0.2500 0.7536 0.1677
0.7500 0.5615 0.4241
0.7500 0.3150 0.1319
0.2500 0.7464 0.6677
0.7500 0.2464 0.8323
0.2500 0.3675 0.4121
0.7500 0.8675 0.0879
0.2500 0.1325 0.9121
0.7500 0.6325 0.5879
```

electronic total energy = -331.024 eV per cell
space-group type = No. 62
crystal system = orthorhombic

---

[9]
The following is a PBE calculation of Na3YZrSiP2O12 after structural relaxation, from the Materials Project database.

POSCAR file:
```
Na3YZrSiP2O12
1.0
-0.0921 -8.3284 4.0603
6.6722 6.0850 2.0763
-13.1143 8.5072 17.1721
O P Si Zr Na Y
72 12 6 6 18 6
Direct
0.4739 0.3286 0.7430
0.5198 0.8664 0.0763
0.5471 0.6898 0.9670
0.5200 0.6393 0.8598
0.1430 0.6883 0.4753
0.5135 0.1476 0.9223
0.5269 0.6647 0.5790
0.8044 0.8157 0.9100
0.1295 0.4883 0.8665
0.5256 0.6903 0.2548
0.3102 0.4529 0.4670
0.8606 0.3676 0.9211
0.8802 0.3603 0.6341
0.5134 0.8173 0.7543
0.6474 0.5043 0.9206
0.3117 0.8570 0.9753
0.6964 0.1529 0.0274
0.0240 0.8326 0.4129
0.1674 0.9760 0.9129
0.6324 0.1394 0.4211
0.9810 0.7891 0.8049
0.8379 0.0375 0.0881
0.1503 0.6549 0.0798
0.4627 0.3476 0.1415
0.8517 0.3394 0.2482
0.6957 0.5383 0.5335
0.3035 0.8341 0.2554
0.3607 0.4800 0.3598
0.7913 0.8156 0.1958
0.8463 0.5366 0.0262
0.8524 0.4865 0.4223
0.1827 0.4866 0.2543
0.0277 0.2033 0.1944
0.9880 0.8243 0.0884
0.8091 0.7773 0.3020
0.1318 0.6374 0.3612
0.2227 0.1909 0.8020
0.1844 0.2087 0.6958
0.7967 0.9723 0.6944
0.1659 0.6965 0.7554
0.8471 0.3036 0.5274
0.9871 0.1995 0.3097
0.9976 0.1930 0.9129
0.0319 0.8247 0.6971
0.6606 0.1483 0.7482
0.4608 0.1537 0.2442
0.1336 0.4802 0.5763
0.3353 0.4731 0.0790
0.1757 0.0120 0.5884
0.3451 0.8497 0.5798
0.8070 0.0024 0.4129
0.1753 0.9681 0.1971
0.8823 0.5232 0.1404
0.4768 0.1177 0.6404
0.6714 0.5261 0.2430
0.1843 0.1956 0.4100
0.8005 0.0129 0.8097
0.5543 0.8699 0.4743
0.8383 0.8071 0.5882
0.8463 0.5392 0.7442
0.4617 0.3043 0.0335
0.4957 0.3526 0.4206
0.5117 0.8705 0.3665
0.2109 0.0190 0.3049
0.6524 0.5373 0.6415
0.3097 0.4744 0.7548
0.4634 0.1537 0.5262
0.1301 0.4457 0.9743
0.1929 0.1617 0.0882
0.3626 0.8682 0.8612
0.6397 0.1198 0.1341
0.9625 0.1621 0.5881
0.6266 0.9666 0.4186
0.9588 0.3286 0.5816
0.3382 0.3720 0.4146
0.0040 0.7090 0.7506
0.6733 0.6330 0.5861
0.6986 0.7038 0.2492
0.6714 0.0412 0.0816
0.0334 0.3734 0.9186
0.2910 0.9960 0.2506
0.6280 0.6618 0.9146
0.3670 0.3267 0.0861
0.2962 0.3014 0.7492
0.3653 0.0360 0.5835
0.9640 0.6347 0.0835
0.6991 0.9955 0.7516
0.0330 0.6630 0.4182
0.0045 0.3009 0.2516
0.3370 0.9670 0.9182
0.0055 0.0087 0.6489
0.6621 0.3377 0.9823
0.6623 0.3379 0.4823
0.9913 0.9945 0.1489
0.3339 0.6693 0.8157
0.3307 0.6661 0.3157
0.6963 0.0281 0.9121
0.3439 0.6727 0.1651
0.9771 0.6760 0.9188
0.0071 0.9969 0.9984
0.3699 0.0052 0.7476
0.6661 0.3226 0.8320
0.6547 0.9670 0.5849
0.3616 0.3613 0.2480
0.2984 0.9599 0.0799
0.6774 0.3339 0.3320
0.3240 0.0229 0.4188
0.0031 0.9929 0.4984
0.9948 0.6301 0.2476
0.3273 0.6561 0.6651
0.0401 0.7016 0.5799
0.6387 0.6384 0.7480
0.0330 0.3453 0.0849
0.9719 0.3037 0.4121
0.6724 0.3304 0.1842
0.3347 0.6628 0.5170
0.9877 0.9914 0.3505
0.0086 0.0123 0.8505
0.3372 0.6653 0.0170
0.6696 0.3276 0.6842
```

electronic total energy = -888.300 eV per cell
space-group type = No. 9
crystal system = monoclinic

---

[10]
The following is a PBE calculation of CaCO3 after structural relaxation, from the Materials Project database.

POSCAR file:
```
CaCO3
1.0
3.1247 -4.4268 0.0000
3.1247 4.4268 0.0000
0.0000 0.0000 3.7863
O C Ca
6 2 2
Direct
0.4165 0.5835 0.2500
0.6482 0.8657 0.8374
0.5835 0.4165 0.7500
0.1343 0.3518 0.6626
0.8657 0.6482 0.1626
0.3518 0.1343 0.3374
0.3592 0.3592 0.5000
0.6408 0.6408 0.0000
0.1949 0.8051 0.7500
0.8051 0.1949 0.2500
```

electronic total energy = -71.816 eV per cell
largest piezoelectric modulus = 1.88 C/m2
space-group type = No. 20
crystal system = orthorhombic